[1]
A plane-wave DFT calculation with meta-GGA r2SCAN was carried out for a relaxed TiSiPt crystal.

Cell: 6.3560 3.7971 7.3459 Å, 90.00 90.00 90.00°
Space group Pnma (No. 62)
Symmetry-distinct sites (fractional):
Ti: 0.0270 0.2500 0.1743 (multiplicity 4)
Si: 0.2423 0.7500 0.3761 (multiplicity 4)
Pt: 0.1479 0.2500 0.5652 (multiplicity 4)

Computed properties:
For the formation energy, the calculation gives -1.071 eV/atom. The value obtained for the total DFT energy (no corrections) is -25.470 eV per atom. For the calculated volume, the calculation gives 14.77 A^3/atom.

[2]
A plane-wave DFT calculation with meta-GGA r2SCAN was carried out for a relaxed LiVO3 crystal.

Cell: 11.1825 9.8899 5.6887 Å, 90.00 120.03 90.00°
Space group Cc (No. 9)
Symmetry-distinct sites (fractional):
Li: 0.0000 0.1825 0.0000 (multiplicity 4)
Li: 0.4991 0.3148 0.9992 (multiplicity 4)
V: 0.2063 0.4062 0.9635 (multiplicity 4)
V: 0.2926 0.0940 0.5417 (multiplicity 4)
O: 0.1222 0.1161 0.3728 (multiplicity 4)
O: 0.1229 0.2588 0.8705 (multiplicity 4)
O: 0.1552 0.4928 0.1712 (multiplicity 4)
O: 0.3440 0.0014 0.3407 (multiplicity 4)
O: 0.3760 0.2416 0.6264 (multiplicity 4)
O: 0.3767 0.3839 0.1283 (multiplicity 4)

Computed properties:
For the formation energy, the calculation gives -2.507 eV/atom. The value obtained for the total DFT energy (no corrections) is -9.386 eV per atom. For the calculated volume, the calculation gives 13.62 A^3/atom.

[3]
A plane-wave DFT calculation with meta-GGA r2SCAN was carried out for a relaxed Pm2ZnIr crystal.

Cell: 7.1223 7.1223 7.1223 Å, 90.00 90.00 90.00°
Space group Fm-3m (No. 225)
Symmetry-distinct sites (fractional):
Pm: 0.2500 0.2500 0.2500 (multiplicity 8)
Zn: 0.0000 0.0000 0.0000 (multiplicity 4)
Ir: 0.0000 0.0000 0.5000 (multiplicity 4)

Computed properties:
For the formation energy, the calculation gives -0.578 eV/atom. The value obtained for the total DFT energy (no corrections) is -30.666 eV per atom. For the calculated volume, the calculation gives 22.58 A^3/atom.

[4]
A plane-wave DFT calculation with meta-GGA r2SCAN was carried out for a relaxed Sr2Sb crystal.

Cell: 5.0547 5.0547 17.8349 Å, 90.00 90.00 90.00°
Space group I4/mmm (No. 139)
Symmetry-distinct sites (fractional):
Sr: 0.0000 0.0000 0.1781 (multiplicity 4)
Sr: 0.0000 0.5000 0.0000 (multiplicity 4)
Sb: 0.0000 0.0000 0.3653 (multiplicity 4)

Computed properties:
For the formation energy, the calculation gives -1.016 eV/atom. The value obtained for the total DFT energy (no corrections) is -19.682 eV per atom. For the calculated volume, the calculation gives 37.97 A^3/atom.

[5]
A plane-wave DFT calculation with meta-GGA r2SCAN was carried out for a relaxed NbGePt crystal.

Cell: 6.5503 3.9017 7.5719 Å, 90.00 90.00 90.00°
Space group Pnma (No. 62)
Symmetry-distinct sites (fractional):
Nb: 0.0269 0.2500 0.1627 (multiplicity 4)
Ge: 0.2308 0.7500 0.3729 (multiplicity 4)
Pt: 0.1537 0.2500 0.5660 (multiplicity 4)

Computed properties:
For the formation energy, the calculation gives -0.586 eV/atom. The value obtained for the total DFT energy (no corrections) is -30.617 eV per atom. For the calculated volume, the calculation gives 16.13 A^3/atom.

[6]
A plane-wave DFT calculation with meta-GGA r2SCAN was carried out for a relaxed CoRe3 crystal.

Cell: 5.3892 5.3892 4.3399 Å, 90.00 90.00 120.00°
Space group P6_3/mmc (No. 194)
Symmetry-distinct sites (fractional):
Co: 0.3333 0.6667 0.2500 (multiplicity 2)
Re: 0.1668 0.3337 0.7500 (multiplicity 6)

Computed properties:
For the formation energy, the calculation gives -0.005 eV/atom. The value obtained for the total DFT energy (no corrections) is -42.621 eV per atom. For the calculated volume, the calculation gives 13.64 A^3/atom.

[7]
A plane-wave DFT calculation with meta-GGA r2SCAN was carried out for a relaxed SrNbO3 crystal.

Cell: 5.7095 5.7095 8.1939 Å, 90.00 90.00 90.00°
Space group P-42_1m (No. 113)
Symmetry-distinct sites (fractional):
Sr: 0.0000 0.5000 0.9998 (multiplicity 2)
Sr: 0.0000 0.5000 0.4992 (multiplicity 2)
Nb: 0.0000 0.0000 0.2500 (multiplicity 4)
O: 0.0000 0.0000 0.0000 (multiplicity 2)
O: 0.0000 0.0000 0.5000 (multiplicity 2)
O: 0.2117 0.7117 0.2500 (multiplicity 4)
O: 0.2119 0.7119 0.7499 (multiplicity 4)

Computed properties:
For the formation energy, the calculation gives -3.004 eV/atom. The value obtained for the total DFT energy (no corrections) is -14.564 eV per atom. For the calculated volume, the calculation gives 13.36 A^3/atom.

[8]
A plane-wave DFT calculation with meta-GGA r2SCAN was carried out for a relaxed Te8MoW3 crystal.

Cell: 3.5620 3.5620 39.1931 Å, 90.00 90.00 120.00°
Space group P3m1 (No. 156)
Symmetry-distinct sites (fractional):
Te: 0.0000 0.0000 0.0000 (multiplicity 1)
Te: 0.0000 0.0000 0.0914 (multiplicity 1)
Te: 0.0000 0.0000 0.3770 (multiplicity 1)
Te: 0.0000 0.0000 0.4686 (multiplicity 1)
Te: 0.6667 0.3333 0.1886 (multiplicity 1)
Te: 0.6667 0.3333 0.2803 (multiplicity 1)
Te: 0.6667 0.3333 0.5645 (multiplicity 1)
Te: 0.6667 0.3333 0.6560 (multiplicity 1)
Mo: 0.6667 0.3333 0.0457 (multiplicity 1)
W: 0.0000 0.0000 0.2345 (multiplicity 1)
W: 0.0000 0.0000 0.6102 (multiplicity 1)
W: 0.6667 0.3333 0.4228 (multiplicity 1)

Computed properties:
For the formation energy, the calculation gives -0.134 eV/atom. The value obtained for the total DFT energy (no corrections) is -32.094 eV per atom. For the calculated volume, the calculation gives 35.89 A^3/atom.

[9]
A plane-wave DFT calculation with meta-GGA r2SCAN was carried out for a relaxed Sm2MgPd2 crystal.

Cell: 7.7500 7.7500 3.8703 Å, 90.00 90.00 90.00°
Space group P4/mbm (No. 127)
Symmetry-distinct sites (fractional):
Sm: 0.1706 0.3294 0.0000 (multiplicity 4)
Mg: 0.0000 0.0000 0.5000 (multiplicity 2)
Pd: 0.1299 0.6299 0.5000 (multiplicity 4)

Computed properties:
For the formation energy, the calculation gives -0.749 eV/atom. The value obtained for the total DFT energy (no corrections) is -22.660 eV per atom. For the calculated volume, the calculation gives 23.25 A^3/atom.

[10]
A plane-wave DFT calculation with meta-GGA r2SCAN was carried out for a relaxed Y5Pt4 crystal.

Cell: 7.5071 14.6092 7.5797 Å, 90.00 90.00 90.00°
Space group Pnma (No. 62)
Symmetry-distinct sites (fractional):
Y: 0.0017 0.0935 0.1805 (multiplicity 8)
Y: 0.1562 0.1218 0.6679 (multiplicity 8)
Y: 0.1819 0.7500 0.5118 (multiplicity 4)
Pt: 0.0482 0.7500 0.1120 (multiplicity 4)
Pt: 0.1828 0.5416 0.4682 (multiplicity 8)
Pt: 0.1865 0.2500 0.3598 (multiplicity 4)

Computed properties:
For the formation energy, the calculation gives -1.240 eV/atom. The value obtained for the total DFT energy (no corrections) is -35.408 eV per atom. For the calculated volume, the calculation gives 23.09 A^3/atom.

[11]
A plane-wave DFT calculation with meta-GGA r2SCAN was carried out for a relaxed Na3Pt12O16 crystal.

Cell: 11.3688 11.3688 11.3688 Å, 90.00 90.00 90.00°
Space group Fm-3 (No. 202)
Symmetry-distinct sites (fractional):
Na: 0.0000 0.0000 0.0000 (multiplicity 4)
Na: 0.2500 0.2500 0.2500 (multiplicity 8)
Pt: 0.0000 0.2487 0.3761 (multiplicity 48)
O: 0.1244 0.1244 0.1244 (multiplicity 32)
O: 0.1292 0.1292 0.3708 (multiplicity 32)

Computed properties:
For the formation energy, the calculation gives -0.849 eV/atom. The value obtained for the total DFT energy (no corrections) is -24.207 eV per atom. For the calculated volume, the calculation gives 11.85 A^3/atom.

[12]
A plane-wave DFT calculation with meta-GGA r2SCAN was carried out for a relaxed NaNdAu2 crystal.

Cell: 7.1558 7.1558 7.1558 Å, 90.00 90.00 90.00°
Space group Fm-3m (No. 225)
Symmetry-distinct sites (fractional):
Na: 0.0000 0.0000 0.0000 (multiplicity 4)
Nd: 0.0000 0.0000 0.5000 (multiplicity 4)
Au: 0.2500 0.2500 0.2500 (multiplicity 8)

Computed properties:
For the formation energy, the calculation gives -0.657 eV/atom. The value obtained for the total DFT energy (no corrections) is -34.195 eV per atom. For the calculated volume, the calculation gives 22.90 A^3/atom.